[1]
20
Lattice="-4.4788 -0.5387 6.9723 -6.9003 -0.7805 -4.5540 6.8424 -4.4907 1.4062" Properties=species:S:1:pos:R:3 comment="Pr2Si5Pt3 | the Materials Project | PBE-GGA | relaxed" spacegroup="No. 72" formation_energy_mev_per_atom=-979 pbc="T T T"
Pr -6.5910 -2.0023 3.4741
Pr 2.0544 -3.8076 0.3504
Pr -0.8233 -1.5090 2.5420
Pr -3.7133 -4.3009 1.2825
Si -5.7040 -1.9774 0.4222
Si 1.1674 -3.8325 3.4023
Si -2.6499 -4.2555 -1.8070
Si -1.9157 -4.1899 4.0575
Si -1.8868 -1.5544 5.6314
Si -2.6209 -1.6200 -0.2330
Si -5.2449 -1.3800 -3.5805
Si 0.7083 -4.4299 7.4050
Si -3.5578 -2.2727 3.8712
Si -0.9788 -3.5372 -0.0467
Pt -0.0434 -3.9534 -2.3609
Pt -0.0145 -1.3178 -0.7870
Pt -4.4250 -2.5641 -1.6128
Pt -0.1117 -3.2458 5.4373
Pt -3.8780 -1.0307 1.7973
Pt -0.6586 -4.7792 2.0272

***

[2]
22
Lattice="4.9205 4.7415 0.0000 -4.9205 4.7415 0.0000 0.0000 0.1359 6.7591" Properties=species:S:1:pos:R:3 comment="Sr3CuPtO6 | the Materials Project | PBE-GGA | relaxed" spacegroup="No. 15" formation_energy_mev_per_atom=-2238 pbc="T T T"
Sr -3.9552 4.8435 5.0693
Sr 3.9552 4.7755 1.6898
Sr 0.7346 6.5109 0.8300
Sr 0.7346 3.0401 2.5496
Sr -0.7346 3.1081 5.9291
Sr -0.7346 6.5789 4.2095
Cu 1.9077 4.8435 5.0693
Cu -1.9077 4.7755 1.6898
Pt -2.4602 2.4387 3.3795
Pt 2.4602 2.3708 0.0000
O -1.5984 4.2876 3.6275
O -1.5984 5.3993 6.5111
O 1.5984 5.3314 3.1316
O 1.5984 4.2196 0.2480
O -0.6886 1.4802 3.8457
O -0.6886 8.2067 6.2929
O 0.6886 8.1388 2.9134
O 0.6886 1.4122 0.4662
O -1.8412 2.7897 1.4522
O -1.8412 6.7613 1.9274
O 1.8412 2.8576 4.8317
O 1.8412 6.8293 5.3069

***

[3]
36
Lattice="-10.4248 -12.8663 3.6618 3.3721 -0.0482 9.4309 -4.7169 6.1525 8.1894" Properties=species:S:1:pos:R:3 comment="Sr2CaI6 | the Materials Project | PBE-GGA | relaxed" spacegroup="No. 14" de_polymorph_mev_per_atom=44 formation_energy_mev_per_atom=-1874 pbc="T T T"
Sr -1.5430 3.4661 13.9593
Sr -9.0112 -2.7410 10.1621
Sr -5.5351 1.5243 9.5469
Sr -8.6758 -5.3122 15.8589
Sr -3.0938 -1.4497 5.4231
Sr -6.2345 -8.2862 11.7351
Sr -2.7584 -4.0209 11.1199
Sr -10.2266 -10.2280 7.3227
Ca -11.6573 -7.3363 12.2267
Ca -5.7304 -0.3724 14.2950
Ca -6.0392 -6.3895 6.9870
Ca -0.1123 0.5744 9.0553
I -2.5124 2.7126 9.2202
I -6.2746 -1.2533 11.2332
I -12.2162 -8.0952 9.0661
I -9.2128 -5.3094 12.3595
I -4.4724 2.1703 12.8617
I -8.4870 -4.4617 7.4344
I -11.5332 -6.9739 15.4360
I -5.1360 0.8210 6.4003
I -8.5940 -4.0153 18.8366
I -3.5504 -4.5555 6.3185
I -2.5519 4.5887 16.8572
I -6.3069 -6.7890 3.7242
I -5.4627 0.0271 17.5578
I -9.2177 -11.3506 4.4248
I -8.2192 -2.2064 14.9635
I -3.1756 -2.7466 2.4454
I -6.6337 -7.5829 14.8817
I -0.2364 0.2120 5.8460
I -3.2827 -2.3002 13.8476
I -7.2972 -8.9322 8.4203
I -2.5569 -1.4525 8.9225
I 0.4466 1.3333 12.2159
I -5.4950 -5.5086 10.0488
I -9.2572 -9.4745 12.0618

***

[4]
19
Lattice="0.0221 2.7710 4.6770 -3.2473 3.9319 -2.4102 -5.0801 -7.1339 1.0601" Properties=species:S:1:pos:R:3 comment="Sm4MgCu4O10 | the Materials Project | PBE-GGA | relaxed" spacegroup="No. 1" formation_energy_mev_per_atom=-2459 pbc="T T T"
Sm -1.3037 0.6083 2.6354
Sm -6.6213 -1.0925 0.4832
Sm -3.1833 0.8048 -0.8721
Sm -5.4412 -1.6669 4.0158
Mg -4.1149 0.1012 1.9951
Cu -8.2589 -0.5130 3.3007
Cu -1.6222 3.1830 1.1045
Cu -2.9925 -2.4299 0.9986
Cu -5.8571 2.0131 2.2096
O -5.4362 -5.3959 1.6471
O -2.5404 3.2255 -0.6614
O -5.7052 -4.0461 3.9394
O -2.5714 4.8898 1.5958
O -2.4148 -0.4416 0.8656
O -5.8014 0.5034 3.2810
O -3.2116 1.9653 2.2411
O -4.8997 -1.8514 1.7858
O -3.1414 -0.3974 3.7630
O -5.1973 0.6736 0.2275

***

[5]
12
Lattice="3.7991 -3.2596 2.6768 -5.4724 -1.0717 1.0624 0.7370 -0.9684 -5.5447" Properties=species:S:1:pos:R:3 comment="LuPO4 | the Materials Project | PBE-GGA | relaxed" spacegroup="No. 141" de_polymorph_mev_per_atom=0 formation_energy_mev_per_atom=-3520 pbc="T T T"
Lu -0.8366 -2.1657 1.8696
Lu 1.8497 -3.1969 -0.4991
P -2.7860 -2.1029 -1.3064
P 0.0000 0.0000 0.0000
O 3.2367 -2.9101 1.2720
O 0.4859 -3.9055 1.2643
O -1.7102 -2.1400 -2.4260
O 0.1747 -4.2294 -1.6264
O 0.5272 -1.4570 0.1062
O -2.2236 -2.4524 0.0985
O 1.5754 -2.1016 -2.5478
O 3.4604 -4.1910 -1.7482

***

[6]
44
Lattice="5.1430 0.0000 0.0000 0.0000 10.4070 0.0000 0.0000 0.0000 12.2251" Properties=species:S:1:pos:R:3 comment="Si3O8 | the Materials Project | PBE-GGA | relaxed" spacegroup="No. 19" formation_energy_mev_per_atom=-2105 pbc="T T T"
Si 4.4464 4.3939 5.9293
Si 3.2682 6.0130 12.0419
Si 1.8749 0.8095 6.2957
Si 0.6967 9.5974 0.1832
Si 1.4452 8.2228 6.9546
Si 1.1263 2.1841 0.8421
Si 4.0167 7.3876 5.2705
Si 3.6979 3.0193 11.3830
Si 1.8959 3.6568 7.4523
Si 0.6756 6.7501 1.3398
Si 4.4674 1.5467 4.7728
Si 3.2471 8.8603 10.8853
O 5.1000 7.9002 6.3781
O 2.6145 2.5068 0.2655
O 2.5285 7.7102 5.8470
O 0.0430 2.6967 11.9595
O 0.8164 4.4327 6.5361
O 1.7551 5.9742 0.4235
O 3.3879 0.7708 5.6890
O 4.3266 9.6362 11.8015
O 4.1303 5.7516 5.1452
O 3.5842 4.6554 11.2577
O 1.5588 9.8588 7.0798
O 1.0127 0.5481 0.9673
O 3.3990 4.1715 7.1781
O 4.3156 6.2354 1.0656
O 0.8275 1.0320 5.0469
O 1.7440 9.3750 11.1594
O 3.6776 9.3076 9.2513
O 4.0369 1.0993 3.1387
O 1.1061 6.3028 2.9738
O 1.4654 4.1041 9.0863
O 4.2835 3.1369 4.8931
O 3.4310 7.2700 11.0056
O 1.7120 2.0666 7.3320
O 0.8595 8.3404 1.2195
O 1.6668 7.6450 8.4603
O 0.9047 2.7619 2.3477
O 4.2383 7.9654 3.7648
O 3.4762 2.4415 9.8773
O 1.1091 5.3681 9.2370
O 1.4624 5.0388 3.1245
O 3.6806 10.2423 2.9880
O 4.0340 0.1647 9.1006

***

Copy entry 4 word for word.
19
Lattice="0.0221 2.7710 4.6770 -3.2473 3.9319 -2.4102 -5.0801 -7.1339 1.0601" Properties=species:S:1:pos:R:3 comment="Sm4MgCu4O10 | the Materials Project | PBE-GGA | relaxed" spacegroup="No. 1" formation_energy_mev_per_atom=-2459 pbc="T T T"
Sm -1.3037 0.6083 2.6354
Sm -6.6213 -1.0925 0.4832
Sm -3.1833 0.8048 -0.8721
Sm -5.4412 -1.6669 4.0158
Mg -4.1149 0.1012 1.9951
Cu -8.2589 -0.5130 3.3007
Cu -1.6222 3.1830 1.1045
Cu -2.9925 -2.4299 0.9986
Cu -5.8571 2.0131 2.2096
O -5.4362 -5.3959 1.6471
O -2.5404 3.2255 -0.6614
O -5.7052 -4.0461 3.9394
O -2.5714 4.8898 1.5958
O -2.4148 -0.4416 0.8656
O -5.8014 0.5034 3.2810
O -3.2116 1.9653 2.2411
O -4.8997 -1.8514 1.7858
O -3.1414 -0.3974 3.7630
O -5.1973 0.6736 0.2275